No. 1
First-principles (r²SCAN) data for a relaxed structure of ZrAl6Fe6, as listed in the Materials Project database.

Structure (POSCAR):
```
ZrAl6Fe6
1.0
-2.461 4.246 4.255
2.461 -4.246 4.255
2.461 4.246 -4.255
Zr Al Fe
1 6 6
direct
0.000 0.000 0.000
0.656 0.656 0.000
0.344 0.344 0.000
0.335 0.000 0.335
0.665 0.000 0.665
0.186 0.686 0.500
0.814 0.314 0.500
0.500 0.500 0.500
0.500 0.000 0.000
0.000 0.500 0.000
0.000 0.000 0.500
0.760 0.500 0.260
0.240 0.500 0.740
```

Properties
calculated formation energy: -0.350 eV per atom
DFT total energy: -11.860 eV/atom

---

No. 2
First-principles (r²SCAN) data for a relaxed structure of RbSrCl3, as listed in the Materials Project database.

Structure (POSCAR):
```
RbSrCl3
1.0
-8.013 0.000 0.004
-0.014 0.000 -7.595
0.000 -11.038 0.000
Rb Sr Cl
4 4 12
direct
0.069 0.479 0.750
0.931 0.521 0.250
0.569 0.020 0.750
0.431 0.980 0.250
0.500 0.500 0.000
0.500 0.500 0.500
0.000 0.000 0.000
0.000 0.000 0.500
0.804 0.310 0.948
0.196 0.690 0.052
0.196 0.690 0.448
0.804 0.310 0.552
0.695 0.810 0.449
0.305 0.190 0.551
0.305 0.190 0.949
0.695 0.810 0.051
0.466 0.599 0.750
0.534 0.401 0.250
0.968 0.901 0.750
0.032 0.099 0.250
```

Properties
calculated formation energy: -2.514 eV per atom
DFT total energy: -12.020 eV/atom

---

What is the formula in the first record?
ZrAl6Fe6

---

Look up the DFT total energy of the first one.
-11.860 eV/atom

---

Which value of calculated formation energy does entry 1 give?
-0.350 eV per atom